13
Lattice="5.920 0.000 0.000 -2.920 5.195 0.000 -0.044 -3.374 4.938" Properties=species:S:1:pos:R:3 comment="MgV4O8 PBE with a Hubbard U relaxed" spacegroup=P-1 e_tot_ev_per_atom=-7.51 relative_energy_ev_per_atom=0.051 delta_e_f_mev_per_atom=-2491 total_magnetization_mub_per_cell=6.00 pbc="T T T"
Mg 0.000 0.000 0.000
V -1.482 0.910 2.469
V 2.960 0.000 0.000
V 2.938 -1.687 2.469
V 1.478 0.910 2.469
O -1.401 2.486 3.659
O -0.001 1.720 1.392
O 0.000 0.269 3.521
O 1.561 -0.679 1.287
O 1.396 2.499 3.651
O 2.956 1.552 1.417
O 2.957 0.101 3.546
O 4.357 -0.666 1.279